# 1
{"formula": "Li2CrP2O7", "functional": "PBE with a Hubbard U", "state": "optimized geometry", "formation_energy_ev_per_fu": -31.27, "volume_a3_per_atom": 11.596, "spacegroup": "No. 14", "lattice": [[-2.741, 2.066, 3.765], [-7.186, -1.455, -4.433], [-6.788, -12.610, 1.978]], "species": ["Li", "Li", "Li", "Li", "Li", "Li", "Li", "Li", "O", "O", "O", "O", "O", "O", "O", "O", "O", "O", "O", "O", "O", "O", "O", "O", "O", "O", "O", "O", "O", "O", "O", "O", "O", "O", "O", "O", "P", "P", "P", "P", "P", "P", "P", "P", "Cr", "Cr", "Cr", "Cr"], "frac_coords": [[0.724, 0.500, 0.921], [0.276, 0.500, 0.079], [0.224, 0.500, 0.579], [0.776, 0.500, 0.421], [0.743, 0.936, 0.185], [0.257, 0.064, 0.815], [0.757, 0.936, 0.685], [0.243, 0.064, 0.315], [0.630, 0.283, 0.437], [0.395, 0.970, 0.612], [0.308, 0.658, 0.746], [0.130, 0.717, 0.063], [0.183, 0.493, 0.438], [0.945, 0.715, 0.847], [0.915, 0.180, 0.647], [0.808, 0.342, 0.754], [0.546, 0.832, 0.107], [0.192, 0.658, 0.246], [0.445, 0.285, 0.653], [0.605, 0.030, 0.388], [0.454, 0.168, 0.893], [0.895, 0.030, 0.888], [0.370, 0.717, 0.563], [0.692, 0.342, 0.254], [0.085, 0.820, 0.353], [0.046, 0.168, 0.393], [0.870, 0.283, 0.937], [0.954, 0.832, 0.607], [0.555, 0.715, 0.347], [0.055, 0.285, 0.153], [0.415, 0.820, 0.853], [0.105, 0.970, 0.112], [0.817, 0.507, 0.562], [0.317, 0.493, 0.938], [0.585, 0.180, 0.147], [0.683, 0.507, 0.062], [0.739, 0.323, 0.650], [0.251, 0.804, 0.124], [0.749, 0.196, 0.876], [0.761, 0.323, 0.150], [0.249, 0.804, 0.624], [0.261, 0.677, 0.350], [0.751, 0.196, 0.376], [0.239, 0.677, 0.850], [0.739, 0.778, 0.480], [0.239, 0.222, 0.020], [0.261, 0.222, 0.520], [0.761, 0.778, 0.980]]}

# 2
{"formula": "Sr2NiIrO6", "functional": "PBE with a Hubbard U", "state": "optimized geometry", "formation_energy_ev_per_fu": -20.83, "volume_a3_per_atom": 12.629, "spacegroup": "No. 87", "lattice": [[-2.804, 2.804, 4.015], [2.804, -2.804, 4.015], [2.804, 2.804, -4.015]], "species": ["Sr", "Sr", "Ni", "O", "O", "O", "O", "O", "O", "Ir"], "frac_coords": [[0.750, 0.250, 0.500], [0.250, 0.750, 0.500], [0.000, 0.000, 0.000], [0.256, 0.256, 0.000], [0.290, 0.777, 0.067], [0.777, 0.710, 0.488], [0.710, 0.223, 0.933], [0.223, 0.290, 0.512], [0.744, 0.744, 0.000], [0.500, 0.500, 0.000]]}